[1]
A relaxed SrCaLaSbO6 crystal, computed with PBE.

a b c (Å): 5.8634 6.0342 8.4497
angles (deg): 89.85 89.37 89.99
With the nearest neighbours (Å) after each atom.
Space group P-1 (No. 2)
Unique sites:
Sr 0.0121 0.0507 0.2496  6 O 2.51-2.80
Ca 0.4859 0.5477 0.2470  4 O 2.37-2.47
La 0.0000 0.5000 0.0000  6 O 2.35-2.43
La 0.5000 0.0000 0.5000  6 O 2.39-2.40
Sb 0.0000 0.5000 0.5000  6 O 2.02-2.05
Sb 0.5000 0.0000 0.0000  6 O 2.01-2.04
O 0.1211 0.5322 0.7253  1 Sb 2.05
O 0.1746 0.7782 0.4428  1 Sb 2.02
O 0.2209 0.8176 0.0473  1 Sb 2.01
O 0.2781 0.3220 0.4361  1 Sb 2.02
O 0.3307 0.2828 0.0638  1 Sb 2.04
O 0.4039 0.0575 0.7736  1 Sb 2.03

Results
Calculated volume ... 14.9 Å³ per atom
Energy of formation ... -3.04 eV per atom
DFT total energy ... -6.8734 eV per atom
Calculated density ... 5.4 g/cm3
Magnetization ... 0.00 μB per cell

---

[2]
A relaxed PmSmAl2 crystal, computed with PBE.

a b c (Å): 7.3733 7.3733 7.3733
angles (deg): 90.00 90.00 90.00
With the nearest neighbours (Å) after each atom.
Space group Fm-3m (No. 225)
Unique sites:
Pm 0.0000 0.0000 0.0000  8 Al 3.19
Sm 0.0000 0.0000 0.5000  8 Al 3.19
Al 0.2500 0.2500 0.2500  4 Pm 3.19, 4 Sm 3.19

Results
Calculated volume ... 25.1 Å³ per atom
Energy of formation ... -0.37 eV per atom
DFT total energy ... -4.6102 eV per atom
Calculated density ... 5.8 g/cm3

---

[3]
A relaxed K2ZnH12S2O14 crystal, computed with PBE.

a b c (Å): 6.2595 12.3079 9.0581
angles (deg): 90.00 103.99 90.00
With the nearest neighbours (Å) after each atom.
Space group P2_1/c (No. 14)
Unique sites:
K 0.1540 0.1606 0.3627  7 O 2.78-3.08, 1 H 3.02
Zn 0.5000 0.0000 0.0000  6 O 2.05-2.20
H 0.1693 0.5623 0.6104  1 O 1.00
H 0.1743 0.0828 0.7750  1 O 0.99
H 0.1758 0.6462 0.4765  1 O 1.00
H 0.4039 0.1198 0.7422  1 O 0.99
H 0.4262 0.6050 0.2289  1 O 1.00
H 0.4980 0.6947 0.3570  1 O 1.00
S 0.2281 0.6351 0.9135  4 O 1.48-1.50
O 0.0843 0.7332 0.9055  1 S 1.50, 1 H 1.66
O 0.1213 0.5592 0.7877  1 S 1.50
O 0.2060 0.5692 0.5099  2 H 1.00
O 0.2492 0.5790 0.0614  1 S 1.48
O 0.3248 0.1092 0.8238  2 H 0.99
O 0.4506 0.6689 0.8946  1 S 1.50
O 0.4657 0.1202 0.1722  2 H 1.00

Results
Calculated volume ... 10.9 Å³ per atom
Energy of formation ... -1.63 eV per atom
DFT total energy ... -5.2479 eV per atom
Calculated density ... 2.2 g/cm3
Magnetization ... 0.00 μB per cell